# meta-GGA r2SCAN Yb5P12Ru19, optimized geometry
data_Yb5P12Ru19
_chemical_formula_sum 'Yb5 P12 Ru19'
_cell_length_a 12.3940
_cell_length_b 12.3940
_cell_length_c 3.9470
_cell_angle_alpha 90.00
_cell_angle_beta 90.00
_cell_angle_gamma 120.00
_space_group_name_H-M_alt 'P 1'
_space_group_IT_number 1
loop_
_space_group_symop_operation_xyz
'x,y,z'
loop_
_atom_site_label
_atom_site_fract_x
_atom_site_fract_y
_atom_site_fract_z
_atom_site_occupancy
Yb1 0.0000 0.1831 0.0000 1
Yb2 0.1831 0.0000 0.0000 1
Yb3 0.3333 0.6667 0.5000 1
Yb4 0.6667 0.3333 0.5000 1
Yb5 0.8169 0.8169 0.0000 1
P1 0.0000 0.3716 0.5000 1
P2 0.0000 0.8163 0.5000 1
P3 0.1716 0.6938 0.0000 1
P4 0.1837 0.1837 0.5000 1
P5 0.3062 0.4778 0.0000 1
P6 0.3716 0.0000 0.5000 1
P7 0.4778 0.3062 0.0000 1
P8 0.5222 0.8284 0.0000 1
P9 0.6284 0.6284 0.5000 1
P10 0.6938 0.1716 0.0000 1
P11 0.8163 0.0000 0.5000 1
P12 0.8284 0.5222 0.0000 1
Ru1 0.0000 0.0000 0.5000 1
Ru2 0.0000 0.5542 0.5000 1
Ru3 0.0000 0.7182 0.0000 1
Ru4 0.1269 0.4929 0.0000 1
Ru5 0.1853 0.8087 0.5000 1
Ru6 0.1913 0.3766 0.5000 1
Ru7 0.2818 0.2818 0.0000 1
Ru8 0.3660 0.8731 0.0000 1
Ru9 0.3766 0.1913 0.5000 1
Ru10 0.4458 0.4458 0.5000 1
Ru11 0.4929 0.1269 0.0000 1
Ru12 0.5071 0.6340 0.0000 1
Ru13 0.5542 0.0000 0.5000 1
Ru14 0.6234 0.8147 0.5000 1
Ru15 0.6340 0.5071 0.0000 1
Ru16 0.7182 0.0000 0.0000 1
Ru17 0.8087 0.1853 0.5000 1
Ru18 0.8147 0.6234 0.5000 1
Ru19 0.8731 0.3660 0.0000 1
# **Uncorrected energy**: -22.42 eV/atom
# **ΔH_f (0 K)**: -21.32 kcal/mol of atoms
# **SG**: No. 189
# **Crystal system**: hexagonal
# **Size of the total moment**: 0.000 μB per atom